Record 1
## Sb2WO6 (GGA+U)

Data for a relaxed structure of Sb2WO6.

Cell: 5.0611 5.6234 9.3775 Å, 95.70 90.00 90.00°
Atoms (fractional coordinates):
O 0.1818 0.1090 0.9390
Sb 0.9447 0.1123 0.1661
O 0.2645 0.9726 0.4443
O 0.6394 0.2357 0.3094
W 0.9790 0.7523 0.5039
O 0.8145 0.3893 0.0587
Sb 0.4447 0.8877 0.8339
O 0.8605 0.7347 0.3084
O 0.7221 0.5288 0.5547
O 0.1394 0.7643 0.6906
O 0.7645 0.0274 0.5557
Sb 0.0544 0.3888 0.8337
O 0.3145 0.6107 0.9413
W 0.4790 0.2477 0.4961
Sb 0.5544 0.6112 0.1663
O 0.3605 0.2653 0.6916
O 0.2221 0.4712 0.4453
O 0.6818 0.8910 0.0610

Calculated values
total DFT energy (no corrections): -6.67 eV per atom
piezoelectric modulus e_max: 7.07 C/m²
space-group type: No. 4


Record 2
## ScVTe2O8 (GGA+U)

Data for a relaxed structure of ScVTe2O8.

Cell: 5.1952 8.2320 16.8891 Å, 94.72 90.00 90.00°
Atoms (fractional coordinates):
O 0.5968 0.3019 0.9695
Te 0.8553 0.3642 0.5690
O 0.4210 0.2974 0.4040
Sc 0.7279 0.3398 0.3268
Te 0.2494 0.5559 0.2227
Te 0.3553 0.1358 0.9310
O 0.5392 0.5307 0.2870
O 0.9377 0.1274 0.3607
O 0.9221 0.3177 0.6785
O 0.4377 0.3726 0.1393
V 0.7895 0.8536 0.5724
O 0.0790 0.7974 0.9040
Te 0.6447 0.8642 0.0690
O 0.0668 0.3615 0.2485
O 0.6367 0.0304 0.5793
O 0.9332 0.6385 0.7515
Te 0.7506 0.4441 0.7773
O 0.1367 0.4696 0.9207
Sc 0.2279 0.1602 0.1732
Sc 0.7721 0.8398 0.8268
O 0.4608 0.4693 0.7130
O 0.8633 0.5304 0.0793
O 0.9032 0.4610 0.4267
O 0.4332 0.8615 0.7485
V 0.2895 0.6464 0.9276
O 0.4221 0.1823 0.8215
O 0.0968 0.1981 0.5305
V 0.7105 0.3536 0.0724
Sc 0.2721 0.6602 0.6732
O 0.0779 0.6823 0.3215
O 0.5968 0.9610 0.9267
Te 0.7494 0.9441 0.2773
O 0.0623 0.8726 0.6393
O 0.4032 0.0390 0.0733
O 0.0968 0.5390 0.5733
Te 0.2506 0.0559 0.7227
O 0.5790 0.7026 0.5960
O 0.9032 0.8019 0.4695
O 0.5623 0.6274 0.8607
O 0.9210 0.2026 0.0960
O 0.0392 0.9693 0.2130
O 0.5779 0.8177 0.1785
O 0.9608 0.0307 0.7870
O 0.5668 0.1385 0.2515
V 0.2105 0.1464 0.4276
Te 0.1447 0.6358 0.4310
O 0.3633 0.9696 0.4207
O 0.4032 0.6981 0.0305

Calculated values
total magnetic moment: 0.0 μB/f.u.
total DFT energy (no corrections): -6.79 eV per atom
space-group type: No. 14


Record 3
## Sc10V10O37 (GGA+U)

Data for a relaxed structure of Sc10V10O37.

Cell: 3.4884 3.4884 71.2406 Å, 60.68 60.68 60.00°
Atoms (fractional coordinates):
O 0.7645 0.7645 0.1353
O 0.7478 0.7478 0.6878
Sc 0.9741 0.9741 0.9039
Sc 0.9812 0.9812 0.8528
O 0.2382 0.2382 0.8143
O 0.1704 0.1704 0.9744
O 0.2146 0.2146 0.0678
O 0.2290 0.2290 0.1657
V 0.0280 0.0280 0.1458
O 0.7549 0.7549 0.7368
O 0.2312 0.2312 0.0153
O 0.2667 0.2667 0.1100
O 0.8049 0.8049 0.3293
Sc 0.0129 0.0129 0.5481
O 0.2199 0.2199 0.9170
O 0.2438 0.2438 0.4134
O 0.2347 0.2347 0.6148
O 0.7374 0.7374 0.2894
O 0.2423 0.2423 0.8637
V 0.0134 0.0134 0.1980
O 0.8218 0.8218 0.5267
Sc 0.0081 0.0081 0.6988
Sc 0.0366 0.0366 0.5945
O 0.7009 0.7009 0.9449
O 0.7613 0.7613 0.3858
O 0.6831 0.6831 0.1975
O 0.2405 0.2405 0.7139
O 0.7454 0.7454 0.7882
O 0.7287 0.7287 0.0407
O 0.7543 0.7543 0.4869
O 0.7367 0.7367 0.8895
O 0.7914 0.7914 0.6313
Sc 0.0397 0.0397 0.4940
O 0.2493 0.2493 0.7626
O 0.7215 0.7215 0.0918
O 0.7992 0.7992 0.2301
O 0.7475 0.7475 0.8379
Sc 0.9857 0.9857 0.9521
Sc 0.9956 0.9956 0.8007
V 0.9710 0.9710 0.0043
V 0.0313 0.0313 0.3953
O 0.6630 0.6630 0.0006
Sc 0.9960 0.9960 0.7506
V 0.0091 0.0091 0.0986
O 0.2823 0.2823 0.5577
O 0.2655 0.2655 0.6602
O 0.2672 0.2672 0.3599
O 0.7626 0.7626 0.5856
Sc 0.9922 0.9922 0.6512
V 0.0428 0.0428 0.4436
V 0.9925 0.9925 0.0511
V 0.0198 0.0198 0.2970
O 0.2968 0.2968 0.4555
O 0.2628 0.2628 0.2606
V 0.9992 0.9992 0.3501
O 0.7437 0.7437 0.4384
V 0.9947 0.9947 0.2508

Calculated values
total magnetic moment: 18.4 μB/f.u.
total DFT energy (no corrections): -7.87 eV per atom
space-group type: No. 160


Record 4
## ScVO3 (GGA+U)

Data for a relaxed structure of ScVO3.

Cell: 3.7864 3.7864 3.7864 Å, 90.00 90.00 90.00°
Atoms (fractional coordinates):
O 0.5000 0.0000 0.5000
O 0.0000 0.5000 0.5000
V 0.5000 0.5000 0.5000
O 0.5000 0.5000 0.0000
Sc 0.0000 0.0000 0.0000

Calculated values
total magnetic moment: 2.0 μB/f.u.
total DFT energy (no corrections): -7.83 eV per atom
space-group type: No. 221


Record 5
## ScVO3 (GGA+U)

Data for a relaxed structure of ScVO3.

Cell: 5.4028 7.8171 5.1090 Å, 90.00 90.00 90.00°
Atoms (fractional coordinates):
O 0.4255 0.2500 0.1452
O 0.5745 0.7500 0.8548
Sc 0.4387 0.7500 0.4811
Sc 0.5613 0.2500 0.5189
V 0.0000 0.5000 0.5000
Sc 0.0613 0.2500 0.9811
Sc 0.9387 0.7500 0.0189
O 0.8077 0.4246 0.8161
O 0.6923 0.5754 0.3161
O 0.1923 0.5754 0.1839
O 0.6923 0.9246 0.3161
O 0.3077 0.0754 0.6839
V 0.0000 0.0000 0.5000
V 0.5000 0.5000 0.0000
O 0.8077 0.0754 0.8161
V 0.5000 0.0000 0.0000
O 0.0745 0.7500 0.6452
O 0.9255 0.2500 0.3548
O 0.1923 0.9246 0.1839
O 0.3077 0.4246 0.6839

Calculated values
total magnetic moment: 2.0 μB/f.u.
total DFT energy (no corrections): -8.50 eV per atom
space-group type: No. 62


Record 6
## ScVO4 (GGA+U)

Data for a relaxed structure of ScVO4.

Cell: 5.7509 5.7509 5.7509 Å, 106.72 106.72 115.12°
Atoms (fractional coordinates):
O 0.4870 0.6804 0.8066
O 0.3196 0.1262 0.8066
O 0.3762 0.0696 0.3066
V 0.5000 0.5000 0.0000
V 0.7500 0.2500 0.5000
O 0.8738 0.6804 0.1934
Sc 0.2500 0.7500 0.5000
O 0.7630 0.0696 0.6934
O 0.9304 0.2370 0.3066
O 0.9304 0.6238 0.6934
Sc 0.0000 0.0000 0.0000
O 0.3196 0.5130 0.1934

Calculated values
total DFT energy (no corrections): -8.17 eV per atom
space-group type: No. 141


Record 7
## ScVO4 (GGA+U)

Data for a relaxed structure of ScVO4.

Cell: 4.9021 4.9021 6.4193 Å, 112.45 112.45 90.00°
Atoms (fractional coordinates):
O 0.7802 0.4590 0.0872
O 0.3070 0.1282 0.0872
O 0.9590 0.8070 0.5872
O 0.0410 0.1930 0.4128
Sc 0.6250 0.8750 0.2500
O 0.2198 0.5410 0.9128
O 0.3718 0.7198 0.4128
V 0.8750 0.6250 0.7500
O 0.6930 0.8718 0.9128
O 0.6282 0.2802 0.5872
V 0.1250 0.3750 0.2500
Sc 0.3750 0.1250 0.7500

Calculated values
total magnetic moment: 0.0 μB/f.u.
total DFT energy (no corrections): -8.14 eV per atom
space-group type: No. 88


Record 8
## Sc2W3O12 (GGA+U)

Data for a relaxed structure of Sc2W3O12.

Cell: 5.8072 6.9742 11.0463 Å, 74.00 90.00 90.00°
Atoms (fractional coordinates):
O 0.1081 0.6921 0.2572
O 0.9014 0.9684 0.4075
O 0.6297 0.3554 0.9551
W 0.1777 0.5000 0.7500
O 0.8833 0.6436 0.0716
O 0.6297 0.6446 0.5449
O 0.3816 0.3315 0.7090
Sc 0.6615 0.6800 0.9068
O 0.8833 0.3564 0.4284
W 0.1683 0.8382 0.0760
W 0.8223 0.5000 0.2500
O 0.6344 0.0190 0.6108
O 0.3656 0.9810 0.3892
O 0.8919 0.3079 0.7428
W 0.8317 0.1618 0.9240
W 0.8317 0.8382 0.5760
O 0.3703 0.3554 0.4551
W 0.1683 0.1618 0.4240
O 0.3656 0.0190 0.1108
O 0.3703 0.6446 0.0449
O 0.1167 0.3564 0.9284
O 0.9014 0.0316 0.0925
O 0.0986 0.0316 0.5925
O 0.6184 0.3315 0.2090
O 0.6184 0.6685 0.2910
O 0.3816 0.6685 0.7910
O 0.0986 0.9684 0.9075
Sc 0.6615 0.3200 0.5932
O 0.8919 0.6921 0.7572
Sc 0.3385 0.6800 0.4068
Sc 0.3385 0.3200 0.0932
O 0.6344 0.9810 0.8892
O 0.1081 0.3079 0.2428
O 0.1167 0.6436 0.5716

Calculated values
total magnetic moment: 0.0 μB/f.u.
total DFT energy (no corrections): -7.94 eV per atom
space-group type: No. 13
distance to the lowest polymorph of the same formula: 0.29 eV per formula unit


Record 9
## Sc2W3O12 (GGA+U)

Data for a relaxed structure of Sc2W3O12.

Cell: 9.7739 9.8665 13.6764 Å, 90.00 90.00 90.00°
Atoms (fractional coordinates):
O 0.9246 0.5873 0.1401
W 0.4736 0.2500 0.0000
O 0.6822 0.9352 0.5285
O 0.6411 0.7935 0.3369
O 0.0754 0.4127 0.8599
O 0.5754 0.4127 0.6401
W 0.6078 0.8854 0.6439
O 0.4186 0.8383 0.0870
W 0.3922 0.1146 0.3561
W 0.0264 0.7500 0.5000
O 0.0814 0.3383 0.4130
O 0.5814 0.1617 0.9130
O 0.1330 0.6305 0.4347
O 0.4186 0.6617 0.9130
Sc 0.7496 0.4676 0.1179
O 0.8670 0.3695 0.5653
O 0.6411 0.7065 0.6631
O 0.8670 0.1305 0.4347
O 0.3170 0.4858 0.7412
O 0.6830 0.5142 0.2588
O 0.1830 0.5142 0.2412
O 0.3170 0.0142 0.2588
O 0.3589 0.2935 0.3369
W 0.9736 0.2500 0.5000
O 0.1830 0.9858 0.7588
O 0.5754 0.0873 0.3599
Sc 0.7504 0.5324 0.6179
O 0.6822 0.5648 0.4715
W 0.5264 0.7500 0.0000
O 0.8170 0.0142 0.2412
O 0.1330 0.8695 0.5653
O 0.1411 0.7935 0.1631
O 0.6330 0.6305 0.0653
O 0.8170 0.4858 0.7588
O 0.8178 0.4352 0.9715
O 0.1822 0.9352 0.9715
O 0.9186 0.6617 0.5870
Sc 0.2496 0.4676 0.3821
W 0.6078 0.6146 0.3561
W 0.8922 0.1146 0.1439
Sc 0.7504 0.9676 0.3821
O 0.6830 0.9858 0.7412
O 0.3670 0.1305 0.0653
O 0.6330 0.8695 0.9347
W 0.8922 0.3854 0.8561
Sc 0.7496 0.0324 0.8821
O 0.1822 0.5648 0.0285
O 0.1411 0.7065 0.8369
O 0.4246 0.9127 0.6401
Sc 0.2504 0.9676 0.1179
O 0.8589 0.2065 0.8369
O 0.0754 0.0873 0.1401
O 0.8589 0.2935 0.1631
O 0.3670 0.3695 0.9347
O 0.4246 0.5873 0.3599
Sc 0.2504 0.5324 0.8821
O 0.3589 0.2065 0.6631
W 0.3922 0.3854 0.6439
Sc 0.2496 0.0324 0.6179
O 0.0814 0.1617 0.5870
O 0.8178 0.0648 0.0285
O 0.3178 0.4352 0.5285
O 0.3178 0.0648 0.4715
O 0.5814 0.3383 0.0870
W 0.1078 0.6146 0.1439
W 0.1078 0.8854 0.8561
O 0.9186 0.8383 0.4130
O 0.9246 0.9127 0.8599

Calculated values
total magnetic moment: 0.0 μB/f.u.
total DFT energy (no corrections): -7.96 eV per atom
space-group type: No. 60
distance to the lowest polymorph of the same formula: 0.00 eV per formula unit


Record 10
## Sm7VSe8O4 (GGA+U)

Data for a relaxed structure of Sm7VSe8O4.

Cell: 3.9902 14.3339 15.7494 Å, 90.00 90.00 90.00°
Atoms (fractional coordinates):
Se 0.0000 0.3441 0.2645
O 0.0000 0.4543 0.6196
Se 0.5000 0.1455 0.5287
O 0.5000 0.6728 0.3117
Se 0.0000 0.8441 0.2355
Se 0.5000 0.6455 0.9713
Se 0.5000 0.1198 0.9671
Se 0.5000 0.6198 0.5329
Se 0.0000 0.6559 0.7355
Se 0.0000 0.0699 0.3284
Se 0.5000 0.8802 0.0329
Sm 0.5000 0.4925 0.6897
Sm 0.0000 0.7905 0.8811
Se 0.5000 0.3545 0.0287
Sm 0.0000 0.5000 0.0000
Sm 0.5000 0.7196 0.1647
Se 0.5000 0.8545 0.4713
Se 0.0000 0.5699 0.1716
Sm 0.5000 0.2804 0.8353
Se 0.0000 0.1559 0.7645
Sm 0.0000 0.2095 0.1189
V 0.0000 0.5000 0.5000
O 0.0000 0.9543 0.8804
Sm 0.5000 0.0075 0.1897
O 0.5000 0.1728 0.1883
O 0.0000 0.0457 0.1196
Sm 0.0000 0.2905 0.6189
O 0.5000 0.8272 0.8117
Se 0.0000 0.4301 0.8284
Sm 0.5000 0.5075 0.3103
Sm 0.0000 0.7095 0.3811
O 0.5000 0.3272 0.6883
Sm 0.0000 0.0000 0.5000
Sm 0.5000 0.9925 0.8103
Se 0.5000 0.3802 0.4671
Se 0.0000 0.9301 0.6716
Sm 0.5000 0.7804 0.6647
O 0.0000 0.5457 0.3804
V 0.0000 0.0000 0.0000
Sm 0.5000 0.2196 0.3353

Calculated values
total magnetic moment: 2.0 μB/f.u.
total DFT energy (no corrections): -6.71 eV per atom
space-group type: No. 55


no.,energy relative to the elements (eV per atom)
1,-1.961
2,-2.279
3,-2.694
4,-2.526
5,-3.202
6,-3.042
7,-3.009
8,-2.685
9,-2.702
10,-2.435